[1]
This record from the Materials Project describes a geometry-optimized Lu2RuAu structure. The functional is r2SCAN.

Values from the calculation:
DFT formation energy ... -0.736 eV/atom
Raw total energy ... -155.114 eV/f.u.

abc: 4.808 4.808 4.808
angles: 60.00 60.00 60.00
Atoms (fractional coordinates):
Au (0.250, 0.250, 0.250)
Lu (0.000, 0.000, 0.000)
Lu (0.500, 0.500, 0.500)
Ru (0.750, 0.750, 0.750)


[2]
This record from the Materials Project describes a geometry-optimized Lu2ZnAu structure. The functional is r2SCAN.

Values from the calculation:
DFT formation energy ... -0.693 eV/atom
Raw total energy ... -138.427 eV/f.u.

abc: 4.919 4.919 4.919
angles: 60.00 60.00 60.00
Atoms (fractional coordinates):
Lu (0.000, 0.000, 0.000)
Lu (0.500, 0.500, 0.500)
Au (0.250, 0.250, 0.250)
Zn (0.750, 0.750, 0.750)


[3]
This record from the Materials Project describes a geometry-optimized MgAu3 structure. The functional is r2SCAN.

Values from the calculation:
DFT formation energy ... -0.418 eV/atom
Raw total energy ... -157.595 eV/f.u.

abc: 5.758 9.520 10.481
angles: 90.00 105.94 90.00
Atoms (fractional coordinates):
Mg (0.706, 0.250, 0.413)
Mg (0.876, 0.999, 0.752)
Mg (0.294, 0.750, 0.587)
Mg (0.541, 0.750, 0.081)
Mg (0.124, 0.499, 0.248)
Mg (0.876, 0.501, 0.752)
Mg (0.124, 0.001, 0.248)
Mg (0.459, 0.250, 0.919)
Au (0.500, 0.000, 0.500)
Au (0.626, 0.501, 0.252)
Au (0.374, 0.001, 0.748)
Au (0.415, 0.750, 0.334)
Au (0.833, 0.250, 0.166)
Au (0.045, 0.750, 0.089)
Au (0.626, 0.999, 0.252)
Au (0.667, 0.750, 0.834)
Au (0.000, 0.500, 0.500)
Au (0.000, 0.000, 0.500)
Au (0.374, 0.499, 0.748)
Au (0.792, 0.750, 0.584)
Au (0.585, 0.250, 0.666)
Au (0.167, 0.750, 0.834)
Au (0.919, 0.750, 0.334)
Au (0.208, 0.250, 0.416)
Au (0.500, 0.500, 0.500)
Au (0.748, 0.500, 0.000)
Au (0.955, 0.250, 0.911)
Au (0.748, 0.000, 0.000)
Au (0.333, 0.250, 0.166)
Au (0.252, 0.500, 0.000)
Au (0.081, 0.250, 0.666)
Au (0.252, 0.000, 0.000)


[4]
This record from the Materials Project describes a geometry-optimized Mg3Au13 structure. The functional is r2SCAN.

Values from the calculation:
DFT formation energy ... -0.317 eV/atom
Raw total energy ... -675.190 eV/f.u.

abc: 4.078 4.078 16.697
angles: 90.00 90.00 90.00
Atoms (fractional coordinates):
Au (0.500, 0.000, 0.750)
Au (0.500, 0.000, 0.503)
Au (0.500, 0.500, 0.372)
Au (0.000, 0.500, 0.247)
Au (0.500, 0.500, 0.877)
Au (0.500, 0.000, 0.247)
Au (0.000, 0.500, 0.750)
Au (0.000, 0.000, 0.378)
Au (0.000, 0.500, 0.503)
Au (0.500, 0.000, 0.000)
Au (0.500, 0.500, 0.124)
Au (0.000, 0.000, 0.625)
Au (0.000, 0.500, 0.000)
Mg (0.000, 0.000, 0.126)
Mg (0.000, 0.000, 0.872)
Mg (0.500, 0.500, 0.625)


Q: Which value of raw total energy does entry 2 give?
A: -138.427 eV/f.u.


Q: Which of these has the lowest raw total energy?
A: Mg3Au13


Repeat the first record exactly.
This record from the Materials Project describes a geometry-optimized Lu2RuAu structure. The functional is r2SCAN.

Values from the calculation:
DFT formation energy ... -0.736 eV/atom
Raw total energy ... -155.114 eV/f.u.

abc: 4.808 4.808 4.808
angles: 60.00 60.00 60.00
Atoms (fractional coordinates):
Au (0.250, 0.250, 0.250)
Lu (0.000, 0.000, 0.000)
Lu (0.500, 0.500, 0.500)
Ru (0.750, 0.750, 0.750)